No. 1
Material: Zr5Re24
Method: DFT, PBE-GGA
State: relaxed

```
data_Zr5Re24
_chemical_formula_sum 'Zr10 Re48'
_space_group_name_H-M_alt 'I -4 3 m'
_space_group_IT_number 217
_space_group_name_Hall 'I -4 2 3'
_cell_length_a 9.8078
_cell_length_b 9.8078
_cell_length_c 9.8078
_cell_angle_alpha 90.00
_cell_angle_beta 90.00
_cell_angle_gamma 90.00
loop_
_atom_site_label
_atom_site_type_symbol
_atom_site_fract_x
_atom_site_fract_y
_atom_site_fract_z
Zr1 Zr 0.0000 0.0000 0.0000
Zr2 Zr 0.1852 0.1852 0.1852
Re1 Re 0.0364 0.3592 0.6408
Re2 Re 0.0911 0.0911 0.7144
```

Properties
The calculation puts the energy of formation from the pure elements at -615 kJ/mol of formula units.

No. 2
Material: K2GaHgBr6
Method: DFT, PBE-GGA
State: relaxed

```
data_K2GaHgBr6
_chemical_formula_sum 'K8 Ga4 Hg4 Br24'
_space_group_name_H-M_alt 'F m -3 m'
_space_group_IT_number 225
_space_group_name_Hall '-F 4 2 3'
_cell_length_a 11.0426
_cell_length_b 11.0426
_cell_length_c 11.0426
_cell_angle_alpha 90.00
_cell_angle_beta 90.00
_cell_angle_gamma 90.00
loop_
_atom_site_label
_atom_site_type_symbol
_atom_site_fract_x
_atom_site_fract_y
_atom_site_fract_z
K1 K 0.2500 0.2500 0.2500
Ga1 Ga 0.0000 0.0000 0.0000
Hg1 Hg 0.0000 0.0000 0.5000
Br1 Br 0.0000 0.0000 0.2378
```

Properties
The calculation puts the energy of formation from the pure elements at -1300 kJ/mol of formula units. The spin magnetization is 0.0002 μB per atom.